Below is a relaxed structure of Sr2CaTi3O9, with properties calculated at the GGA-PBE level.

Output
DFT formation energy   -341.71 kJ/mol of atoms
E (MP2020)   -0.3105 Ha/atom
Total moment   0.00 μB/f.u.
Mass density   4.61 Mg/m³

Lattice parameters (Å, degrees): 5.5547 9.5950 13.5989 89.65 89.83 89.88
Positions (direct):
O: 0.7318 0.8897 0.4208
Sr: 0.9963 0.8343 0.5839
Ca: 0.4968 0.3333 0.0838
O: 0.2386 0.6024 0.5752
O: 0.4956 0.8185 0.0696
Sr: 0.5099 0.3330 0.5831
O: 0.2577 0.4340 0.9139
O: 0.4964 0.1520 0.4021
Ti: 0.0068 0.8363 0.8345
O: 0.2592 0.4036 0.4279
O: 0.4978 0.8530 0.6030
O: 0.7589 0.7315 0.7517
O: 0.9926 0.6798 0.9319
O: 0.2385 0.2369 0.7590
Sr: 0.9962 0.1659 0.9160
Ti: 0.0068 0.1714 0.1678
O: 0.4971 0.1852 0.9350
O: 0.7309 0.9296 0.9018
O: 0.2577 0.0739 0.0940
O: 0.2388 0.8990 0.4270
O: 0.2390 0.9339 0.9105
O: 0.7307 0.2259 0.7536
O: 0.7612 0.7584 0.2370
Sr: 0.5119 0.9981 0.2499
Sr: 0.0125 0.1690 0.4187
O: 0.2557 0.7384 0.7593
O: 0.2311 0.5650 0.0990
O: 0.0018 0.6454 0.3955
O: 0.7586 0.0913 0.5713
Ti: 0.5086 0.3376 0.3337
O: 0.7583 0.0641 0.0855
Ti: 0.0067 0.4993 0.0039
Ti: 0.0085 0.8314 0.3347
Ti: 0.5079 0.3343 0.8360
Ti: 0.0066 0.1675 0.6687
O: 0.7584 0.4258 0.9047
Ti: 0.5077 0.6695 0.6670
Sr: 0.5106 0.6672 0.9153
Sr: 0.0129 0.8353 0.0861
Ti: 0.5079 0.0003 0.5013
O: 0.2310 0.2767 0.2432
Ti: 0.5088 0.6658 0.1695
Ca: 0.4967 0.0009 0.7503
O: 0.7615 0.3967 0.4173
Ca: 0.4985 0.6665 0.4166
Sr: 0.0107 0.5025 0.7520
O: 0.4962 0.5222 0.2724
O: 0.2561 0.0994 0.5787
O: 0.0007 0.9865 0.7363
Ca: 0.9990 0.5002 0.2505
O: 0.7283 0.5556 0.0896
O: 0.4974 0.4875 0.7362
O: 0.9909 0.3469 0.5963
O: 0.2587 0.7696 0.2452
O: 0.7279 0.2674 0.2335
O: 0.9925 0.0156 0.2641
O: 0.7322 0.5980 0.5668
Ti: 0.0081 0.5025 0.4990
O: 0.9956 0.3170 0.0671
Ti: 0.5081 0.0018 0.0019